1.
A relaxed structure of SrV6O11, computed with PBE with a Hubbard U.

Summary:
Crystal system: hexagonal
Energy with MP2020 corrections in eV/atom: -8.763
Calculated total energy in eV/cell: -279.97
E above lowest polymorph in meV/atom: 0

a = 5.911 Å, b = 5.911 Å, c = 13.413 Å
α = 90.00°, β = 90.00°, γ = 120.00°
Positions (direct):
Sr  0.333  0.667  0.250
Sr  0.667  0.333  0.750
V  0.000  0.000  0.146
V  0.000  0.000  0.354
V  0.000  0.000  0.646
V  0.000  0.000  0.854
V  0.000  0.500  0.000
V  0.000  0.500  0.500
V  0.333  0.667  0.750
V  0.500  0.000  0.000
V  0.500  0.000  0.500
V  0.500  0.500  0.000
V  0.500  0.500  0.500
V  0.667  0.333  0.250
O  0.148  0.296  0.750
O  0.148  0.852  0.750
O  0.176  0.352  0.079
O  0.176  0.352  0.421
O  0.176  0.824  0.079
O  0.176  0.824  0.421
O  0.296  0.148  0.250
O  0.333  0.667  0.585
O  0.333  0.667  0.915
O  0.352  0.176  0.579
O  0.352  0.176  0.921
O  0.648  0.824  0.079
O  0.648  0.824  0.421
O  0.667  0.333  0.085
O  0.667  0.333  0.415
O  0.704  0.852  0.750
O  0.824  0.176  0.579
O  0.824  0.176  0.921
O  0.824  0.648  0.579
O  0.824  0.648  0.921
O  0.852  0.148  0.250
O  0.852  0.704  0.250

***

2.
A relaxed structure of KFe2P2O11, computed with PBE with a Hubbard U.

Summary:
Crystal system: monoclinic
Energy with MP2020 corrections in eV/atom: -6.969
Calculated total energy in eV/cell: -397.71
E above lowest polymorph in meV/atom: 0

a = 9.617 Å, b = 9.679 Å, c = 12.334 Å
α = 90.00°, β = 129.43°, γ = 90.00°
Positions (direct):
K  0.125  0.195  0.018
K  0.125  0.305  0.518
K  0.875  0.695  0.482
K  0.875  0.805  0.982
Fe  0.228  0.738  0.409
Fe  0.228  0.762  0.909
Fe  0.475  0.053  0.600
Fe  0.475  0.447  0.100
Fe  0.525  0.553  0.900
Fe  0.525  0.947  0.400
Fe  0.772  0.238  0.091
Fe  0.772  0.262  0.591
P  0.134  0.029  0.284
P  0.134  0.471  0.784
P  0.350  0.672  0.217
P  0.350  0.828  0.717
P  0.650  0.172  0.283
P  0.650  0.328  0.783
P  0.866  0.529  0.216
P  0.866  0.971  0.716
O  0.018  0.616  0.342
O  0.018  0.884  0.842
O  0.057  0.615  0.777
O  0.057  0.885  0.277
O  0.222  0.101  0.427
O  0.222  0.399  0.927
O  0.225  0.732  0.067
O  0.225  0.768  0.567
O  0.234  0.657  0.264
O  0.234  0.843  0.764
O  0.270  0.013  0.254
O  0.270  0.487  0.754
O  0.358  0.117  0.850
O  0.358  0.383  0.350
O  0.384  0.557  0.510
O  0.384  0.943  0.010
O  0.412  0.526  0.212
O  0.412  0.974  0.712
O  0.428  0.628  0.991
O  0.428  0.872  0.491
O  0.485  0.235  0.680
O  0.485  0.265  0.180
O  0.515  0.735  0.820
O  0.515  0.765  0.320
O  0.572  0.128  0.509
O  0.572  0.372  0.009
O  0.588  0.026  0.288
O  0.588  0.474  0.788
O  0.616  0.057  0.990
O  0.616  0.443  0.490
O  0.642  0.617  0.650
O  0.642  0.883  0.150
O  0.730  0.513  0.246
O  0.730  0.987  0.746
O  0.766  0.157  0.236
O  0.766  0.343  0.736
O  0.775  0.232  0.433
O  0.775  0.268  0.933
O  0.778  0.601  0.073
O  0.778  0.899  0.573
O  0.943  0.115  0.723
O  0.943  0.385  0.223
O  0.982  0.116  0.158
O  0.982  0.384  0.658

***

3.
A relaxed structure of MgCr2W2O8, computed with PBE with a Hubbard U.

Summary:
Crystal system: monoclinic
Energy with MP2020 corrections in eV/atom: -8.815
Calculated total energy in eV/cell: -96.23
E above lowest polymorph in meV/atom: 0

a = 5.678 Å, b = 5.678 Å, c = 5.015 Å
α = 90.98°, β = 90.98°, γ = 65.79°
Positions (direct):
Mg  0.000  0.000  0.000
Cr  0.274  0.274  0.994
Cr  0.726  0.726  0.006
W  0.252  0.748  0.500
W  0.748  0.252  0.500
O  0.102  0.630  0.163
O  0.117  0.117  0.324
O  0.370  0.898  0.837
O  0.388  0.388  0.669
O  0.612  0.612  0.331
O  0.630  0.102  0.163
O  0.883  0.883  0.676
O  0.898  0.370  0.837